Entry 1:
Computed, not measured: YGa2Ni after structural relaxation at the meta-GGA r2SCAN level of DFT.

Cell: 5.476 5.476 6.618 Å, 90.00 90.00 136.45°
Fractional coordinates of all 8 atoms:
Y  0.069  0.931  0.750
Y  0.931  0.069  0.250
Ga  0.351  0.649  0.555
Ga  0.351  0.649  0.945
Ga  0.649  0.351  0.055
Ga  0.649  0.351  0.445
Ni  0.212  0.788  0.250
Ni  0.788  0.212  0.750

E_form: -0.695 eV/atom
SG: Cmcm


Entry 2:
Computed, not measured: Y2GaNi2 after structural relaxation at the meta-GGA r2SCAN level of DFT.

Cell: 5.335 5.335 5.335 Å, 133.98 120.05 78.74°
Fractional coordinates of all 5 atoms:
Y  0.202  0.202  0.000
Y  0.798  0.798  0.000
Ga  0.500  0.000  0.500
Ni  0.232  0.500  0.732
Ni  0.768  0.500  0.268

E_form: -0.556 eV/atom
SG: Immm


Entry 3:
Computed, not measured: YGa4Ni after structural relaxation at the meta-GGA r2SCAN level of DFT.

Cell: 7.863 7.863 6.520 Å, 90.00 90.00 149.95°
Fractional coordinates of all 12 atoms:
Y  0.119  0.881  0.750
Y  0.881  0.119  0.250
Ga  0.071  0.929  0.250
Ga  0.314  0.686  0.552
Ga  0.314  0.686  0.948
Ga  0.500  0.500  0.000
Ga  0.500  0.500  0.500
Ga  0.686  0.314  0.052
Ga  0.686  0.314  0.448
Ga  0.929  0.071  0.750
Ni  0.224  0.776  0.250
Ni  0.776  0.224  0.750

E_form: -0.570 eV/atom
SG: Cmcm


Entry 4:
Computed, not measured: YbGaNi after structural relaxation at the meta-GGA r2SCAN level of DFT.

Cell: 6.680 4.213 7.189 Å, 90.00 90.00 90.00°
Fractional coordinates of all 12 atoms:
Yb  0.017  0.250  0.197
Yb  0.483  0.750  0.697
Yb  0.517  0.250  0.303
Yb  0.983  0.750  0.803
Ga  0.178  0.250  0.578
Ga  0.322  0.750  0.078
Ga  0.678  0.250  0.922
Ga  0.822  0.750  0.422
Ni  0.212  0.750  0.404
Ni  0.288  0.250  0.904
Ni  0.712  0.750  0.096
Ni  0.788  0.250  0.596

E_form: -0.710 eV/atom
SG: Pnma


Entry 5:
Computed, not measured: ZrGa2Ni after structural relaxation at the meta-GGA r2SCAN level of DFT.

Cell: 9.582 9.582 9.582 Å, 100.22 100.22 130.19°
Fractional coordinates of all 40 atoms:
Zr  0.000  0.000  0.000
Zr  0.062  0.348  0.286
Zr  0.062  0.775  0.714
Zr  0.348  0.062  0.286
Zr  0.367  0.367  0.593
Zr  0.367  0.774  0.000
Zr  0.441  0.441  0.000
Zr  0.774  0.367  0.000
Zr  0.774  0.774  0.407
Zr  0.775  0.062  0.714
Ga  0.089  0.089  0.732
Ga  0.089  0.357  0.000
Ga  0.178  0.671  0.211
Ga  0.178  0.966  0.507
Ga  0.199  0.581  0.618
Ga  0.357  0.089  0.000
Ga  0.357  0.357  0.268
Ga  0.459  0.671  0.493
Ga  0.459  0.966  0.789
Ga  0.570  0.729  0.841
Ga  0.581  0.199  0.618
Ga  0.581  0.964  0.382
Ga  0.671  0.178  0.211
Ga  0.671  0.459  0.493
Ga  0.729  0.570  0.841
Ga  0.729  0.889  0.159
Ga  0.889  0.729  0.159
Ga  0.964  0.581  0.382
Ga  0.966  0.178  0.507
Ga  0.966  0.459  0.789
Ni  0.068  0.068  0.325
Ni  0.068  0.743  0.000
Ni  0.200  0.418  0.783
Ni  0.333  0.833  0.500
Ni  0.418  0.200  0.783
Ni  0.418  0.635  0.217
Ni  0.635  0.418  0.217
Ni  0.743  0.068  0.000
Ni  0.743  0.743  0.675
Ni  0.833  0.333  0.500

E_form: -0.632 eV/atom
SG: I4mm


Entry 6:
Computed, not measured: GaP3O9 after structural relaxation at the meta-GGA r2SCAN level of DFT.

Cell: 11.490 11.490 9.312 Å, 109.83 109.83 111.07°
Fractional coordinates of all 78 atoms:
Ga  0.079  0.921  0.500
Ga  0.225  0.737  0.969
Ga  0.413  0.591  0.504
Ga  0.591  0.413  0.004
Ga  0.737  0.225  0.469
Ga  0.921  0.079  0.000
P  0.155  0.552  0.156
P  0.212  0.488  0.658
P  0.248  0.284  0.775
P  0.264  0.992  0.310
P  0.284  0.248  0.275
P  0.321  0.930  0.803
P  0.488  0.212  0.158
P  0.552  0.155  0.656
P  0.566  0.935  0.754
P  0.578  0.872  0.212
P  0.615  0.670  0.337
P  0.670  0.615  0.837
P  0.835  0.898  0.181
P  0.872  0.578  0.712
P  0.898  0.835  0.681
P  0.930  0.321  0.303
P  0.935  0.566  0.254
P  0.992  0.264  0.810
O  0.017  0.661  0.880
O  0.028  0.407  0.968
O  0.029  0.925  0.682
O  0.062  0.605  0.216
O  0.073  0.363  0.466
O  0.135  0.173  0.118
O  0.135  0.914  0.322
O  0.150  0.298  0.858
O  0.169  0.547  0.785
O  0.173  0.135  0.618
O  0.224  0.802  0.801
O  0.233  0.518  0.283
O  0.246  0.666  0.133
O  0.256  0.918  0.139
O  0.259  0.934  0.637
O  0.271  0.395  0.709
O  0.298  0.150  0.358
O  0.320  0.597  0.644
O  0.343  0.390  0.434
O  0.363  0.073  0.966
O  0.390  0.343  0.934
O  0.395  0.271  0.209
O  0.407  0.028  0.468
O  0.435  0.824  0.064
O  0.472  0.793  0.579
O  0.476  0.951  0.850
O  0.509  0.579  0.368
O  0.518  0.233  0.783
O  0.547  0.169  0.285
O  0.552  0.751  0.262
O  0.579  0.509  0.868
O  0.595  0.657  0.718
O  0.597  0.320  0.144
O  0.605  0.062  0.716
O  0.657  0.595  0.218
O  0.661  0.017  0.380
O  0.666  0.246  0.633
O  0.675  0.863  0.124
O  0.707  0.969  0.889
O  0.751  0.552  0.762
O  0.757  0.804  0.524
O  0.793  0.472  0.079
O  0.802  0.224  0.301
O  0.804  0.757  0.024
O  0.824  0.435  0.564
O  0.863  0.675  0.624
O  0.899  0.903  0.353
O  0.903  0.899  0.853
O  0.914  0.135  0.822
O  0.918  0.256  0.639
O  0.925  0.029  0.182
O  0.934  0.259  0.137
O  0.951  0.476  0.350
O  0.969  0.707  0.389

E_form: -2.317 eV/atom
SG: Cc


Entry 7:
Computed, not measured: Ga2PbO4 after structural relaxation at the meta-GGA r2SCAN level of DFT.

Cell: 5.247 5.397 8.590 Å, 89.98 89.99 60.92°
Fractional coordinates of all 14 atoms:
Ga  0.000  0.000  0.000
Ga  0.005  0.991  0.395
Ga  0.346  0.309  0.895
Ga  0.351  0.299  0.500
Pb  0.612  0.703  0.195
Pb  0.665  0.597  0.695
O  0.005  0.291  0.889
O  0.013  0.278  0.510
O  0.128  0.029  0.198
O  0.310  0.656  0.944
O  0.317  0.644  0.446
O  0.509  0.268  0.698
O  0.639  0.023  0.011
O  0.646  0.009  0.388

E_form: -1.845 eV/atom
SG: P1


Entry 8:
Computed, not measured: Ga2PbO4 after structural relaxation at the meta-GGA r2SCAN level of DFT.

Cell: 8.588 5.397 5.397 Å, 121.78 90.00 90.00°
Fractional coordinates of all 14 atoms:
Ga  0.052  0.173  0.827
Ga  0.448  0.173  0.827
Ga  0.552  0.827  0.173
Ga  0.948  0.827  0.173
Pb  0.250  0.490  0.436
Pb  0.750  0.436  0.490
O  0.000  0.139  0.139
O  0.061  0.834  0.468
O  0.250  0.333  0.952
O  0.439  0.834  0.468
O  0.500  0.139  0.139
O  0.561  0.468  0.834
O  0.750  0.952  0.333
O  0.939  0.468  0.834

E_form: -1.845 eV/atom
SG: Ama2


Repeat the second record exactly.
Computed, not measured: Y2GaNi2 after structural relaxation at the meta-GGA r2SCAN level of DFT.

Cell: 5.335 5.335 5.335 Å, 133.98 120.05 78.74°
Fractional coordinates of all 5 atoms:
Y  0.202  0.202  0.000
Y  0.798  0.798  0.000
Ga  0.500  0.000  0.500
Ni  0.232  0.500  0.732
Ni  0.768  0.500  0.268

E_form: -0.556 eV/atom
SG: Immm